No. 1
# LiFe7O6F10

A relaxed LiFe7O6F10 crystal (PBE with a Hubbard U, the Materials Project database).

Values from the calculation:
Formation enthalpy at 0 K = -2.19 eV per atom
VASP energy = -138.03 eV for the cell shown
Theoretical density = 4.25 Mg/m³

a b c (Å): 4.5969 11.3609 5.1202
angles (deg): 90.00 90.73 90.00
Last column: nearest neighbours and their distance in Å.
Space group P2 (No. 3)
Symmetry-distinct sites (fractional):
Li 0.0000 0.0000 0.0000 x1  6 F 1.95-2.14
Fe 0.0000 0.3461 0.5000 x1  4 O 2.02-2.06, 2 F 2.02
Fe 0.0000 0.4982 0.0000 x1  2 O 1.92, 4 F 1.99-2.07
Fe 0.0000 0.8330 0.5000 x1  2 O 1.95, 4 F 2.03-2.12
Fe 0.5000 0.1065 0.5000 x1  4 F 1.98-2.04, 2 O 2.00
Fe 0.5000 0.2402 0.0000 x1  2 O 1.94, 4 F 2.04-2.06
Fe 0.5000 0.5918 0.5000 x1  2 F 2.03, 4 O 2.04-2.09
Fe 0.5000 0.7575 0.0000 x1  2 O 1.95, 4 F 1.96-2.12
O 0.2193 0.4812 0.6853 x2  3 Fe 1.92-2.06
O 0.2676 0.2303 0.6819 x2  3 Fe 1.94-2.02
O 0.2788 0.7305 0.6779 x2  3 Fe 1.95-2.09
F 0.2255 0.8639 0.1689 x2  2 Fe 1.96-2.03, 1 Li 2.05
F 0.2353 0.3632 0.1713 x2  3 Fe 2.02-2.07
F 0.2409 0.9777 0.6496 x2  2 Fe 2.04-2.12, 1 Li 2.14
F 0.2636 0.6163 0.1657 x2  3 Fe 1.99-2.12
F 0.2646 0.1108 0.1732 x2  1 Li 1.95, 2 Fe 1.98-2.04

=====

No. 2
# LiFe5O4F8

A relaxed LiFe5O4F8 crystal (PBE with a Hubbard U, the Materials Project database).

Values from the calculation:
Formation enthalpy at 0 K = -2.27 eV per atom
VASP energy = -410.29 eV for the cell shown
Theoretical density = 3.69 Mg/m³
Relative energy among the computed polymorphs = 30.1 meV/atom

a b c (Å): 5.5182 9.8802 16.5767
angles (deg): 90.00 90.00 90.00
Last column: nearest neighbours and their distance in Å.
Space group F222 (No. 22)
Symmetry-distinct sites (fractional):
Li 0.0000 0.0000 0.0000 x4  4 F 1.94
Fe 0.0000 0.0000 0.3386 x8  2 O 1.96, 4 F 1.99-2.03
Fe 0.2500 0.2500 0.0910 x8  2 O 1.96, 4 F 2.06
Fe 0.2500 0.2500 0.7500 x4  4 O 2.00, 2 F 2.20
O 0.0044 0.1982 0.6672 x16  3 Fe 1.96-2.00
F 0.0000 0.2224 0.0000 x8  2 Fe 2.06, 1 Li 2.20
F 0.2394 0.0418 0.0823 x16  1 Li 1.94, 2 Fe 1.99-2.06
F 0.2500 0.0277 0.7500 x8  3 Fe 2.03-2.20

=====

No. 3
# Li2FePO4F

A relaxed Li2FePO4F crystal (PBE with a Hubbard U, the Materials Project database).

Values from the calculation:
Formation enthalpy at 0 K = -2.60 eV per atom
VASP energy = -458.77 eV for the cell shown
Theoretical density = 3.18 Mg/m³
Relative energy among the computed polymorphs = 0.0 meV/atom

a b c (Å): 13.0942 5.1242 13.1017
angles (deg): 90.00 119.09 90.00
Last column: nearest neighbours and their distance in Å.
Space group P2_1/c (No. 14)
Symmetry-distinct sites (fractional):
Li 0.0776 0.2302 0.4027 x4  2 F 2.08-2.29, 4 O 2.09-2.30
Li 0.1519 0.7339 0.3268 x4  3 O 2.08-2.30, 2 F 2.09-2.26
Li 0.3507 0.2226 0.6757 x4  3 O 2.10-2.20, 2 F 2.12-2.23
Li 0.4207 0.7259 0.3287 x4  1 F 1.96, 3 O 2.10-2.19
Fe 0.0778 0.2248 0.6731 x4  2 F 2.08-2.30, 4 O 2.10-2.15
Fe 0.4237 0.7278 0.5972 x4  4 O 2.08-2.18, 2 F 2.17-2.23
P 0.1666 0.7136 0.5824 x4  4 O 1.55-1.57
P 0.3345 0.2171 0.4192 x4  4 O 1.55-1.57
O 0.1041 0.6926 0.9538 x4  1 P 1.55
O 0.1055 0.6676 0.1478 x4  1 P 1.55
O 0.1613 0.0919 0.0870 x4  1 P 1.57
O 0.2046 0.1990 0.8534 x4  1 P 1.55
O 0.2950 0.6885 0.1421 x4  1 P 1.55
O 0.3442 0.5890 0.9251 x4  1 P 1.57
O 0.3917 0.1709 0.0449 x4  1 P 1.55
O 0.3978 0.1707 0.8541 x4  1 P 1.56
F 0.0107 0.5131 0.7362 x4  4 Li 2.08-2.29, 2 Fe 2.08-2.30
F 0.4896 0.5203 0.7676 x4  2 Li 1.96-2.12, 1 Fe 2.17

=====

No. 4
# Li2FePO4F

A relaxed Li2FePO4F crystal (PBE with a Hubbard U, the Materials Project database).

Values from the calculation:
Formation enthalpy at 0 K = -2.57 eV per atom
VASP energy = -114.21 eV for the cell shown
Theoretical density = 3.12 Mg/m³
Relative energy among the computed polymorphs = 26.8 meV/atom

a b c (Å): 5.3718 5.4261 7.5101
angles (deg): 107.06 107.92 94.82
Last column: nearest neighbours and their distance in Å.
Space group P1 (No. 1)
Symmetry-distinct sites (fractional):
Li 0.0000 0.0000 0.0000 x1  3 O 1.96-2.05
Li 0.0341 0.8637 0.6299 x1  2 F 1.91-2.01, 1 O 2.09
Li 0.3392 0.3162 0.9775 x1  1 F 1.88, 2 O 1.91-1.98
Li 0.7687 0.4515 0.3017 x1  1 F 1.89, 2 O 1.99-2.02
Fe 0.5188 0.8566 0.6417 x1  4 O 2.06-2.26, 2 F 2.10-2.19
Fe 0.5336 0.8711 0.1583 x1  4 O 2.10-2.18, 2 F 2.13-2.22
P 0.1939 0.2399 0.3915 x1  4 O 1.54-1.58
P 0.8722 0.4946 0.9174 x1  4 O 1.55-1.56
O 0.1651 0.6173 0.0572 x1  1 P 1.56
O 0.1897 0.5318 0.4946 x1  1 P 1.55
O 0.2725 0.0947 0.5417 x1  1 P 1.54
O 0.3746 0.2133 0.2597 x1  1 P 1.57
O 0.6828 0.5202 0.0411 x1  1 P 1.56
O 0.7953 0.6566 0.7761 x1  1 P 1.55
O 0.8664 0.1985 0.8144 x1  1 P 1.56
O 0.9020 0.1171 0.2383 x1  1 P 1.58
F 0.3521 0.9573 0.8804 x1  2 Li 1.88-2.01
F 0.6951 0.7806 0.4227 x1  2 Li 1.89-1.91, 1 Fe 2.10

=====

No. 5
# Li2FePO4F

A relaxed Li2FePO4F crystal (PBE with a Hubbard U, the Materials Project database).

Values from the calculation:
Formation enthalpy at 0 K = -2.37 eV per atom
VASP energy = -442.36 eV for the cell shown
Theoretical density = 3.17 Mg/m³
Relative energy among the computed polymorphs = 227.9 meV/atom

a b c (Å): 10.6617 6.5076 11.0852
angles (deg): 90.00 90.00 90.00
Last column: nearest neighbours and their distance in Å.
Space group Pnma (No. 62)
Symmetry-distinct sites (fractional):
Li 0.0261 0.2500 0.2279 x4  1 F 1.88, 2 O 2.06
Li 0.2302 0.7500 0.4166 x4  1 F 1.94, 3 O 2.09-2.15
Li 0.2407 0.0100 0.1663 x8  4 O 2.05-2.26
Fe 0.0000 0.0000 0.0000 x4  4 O 2.07-2.11, 2 F 2.20
Fe 0.0000 0.0000 0.5000 x4  4 O 2.07-2.15, 2 F 2.18
P 0.0217 0.2500 0.7553 x4  4 O 1.56
P 0.2438 0.2500 0.4201 x4  4 O 1.54-1.56
O 0.0293 0.7500 0.3766 x4  1 P 1.56
O 0.0333 0.5563 0.1807 x8  1 P 1.56
O 0.1116 0.7500 0.9423 x4  1 P 1.56
O 0.1679 0.2500 0.7556 x4  1 P 1.56
O 0.1905 0.0540 0.4834 x8  1 P 1.56
O 0.2157 0.2500 0.2836 x4  1 P 1.54
F 0.0538 0.7500 0.6208 x4  1 Li 1.88
F 0.1344 0.2500 0.0328 x4  1 Li 1.94

=====

No. 6
# Li4Fe3P3O12F

A relaxed Li4Fe3P3O12F crystal (PBE with a Hubbard U, the Materials Project database).

Values from the calculation:
Formation enthalpy at 0 K = -2.48 eV per atom
VASP energy = -304.22 eV for the cell shown
Theoretical density = 2.75 Mg/m³
Piezoelectric modulus e_max = 0.12 C/m2

a b c (Å): 8.4499 8.4499 8.4499
angles (deg): 90.00 90.00 90.00
Last column: nearest neighbours and their distance in Å.
Space group P-43n (No. 218)
Symmetry-distinct sites (fractional):
Li 0.1431 0.1431 0.1431 x8  3 O 2.07, 1 F 2.09
Fe 0.0000 0.2500 0.5000 x6  4 O 2.03
P 0.0000 0.5000 0.2500 x6  4 O 1.56
O 0.0997 0.3842 0.1471 x24  1 P 1.56
F 0.0000 0.0000 0.0000 x2  4 Li 2.09

=====

No. 7
# Li2FePO4F

A relaxed Li2FePO4F crystal (PBE with a Hubbard U, the Materials Project database).

Values from the calculation:
Formation enthalpy at 0 K = -2.59 eV per atom
VASP energy = -458.26 eV for the cell shown
Theoretical density = 3.17 Mg/m³
Relative energy among the computed polymorphs = 7.0 meV/atom

a b c (Å): 5.0894 13.1445 11.5168
angles (deg): 90.00 90.00 90.00
Last column: nearest neighbours and their distance in Å.
Space group Pbcn (No. 60)
Symmetry-distinct sites (fractional):
Li 0.2179 0.2398 0.1775 x8  4 O 2.12-2.25, 2 F 2.15-2.25
Li 0.2220 0.3667 0.9021 x8  2 O 2.01-2.22, 1 F 2.08
Fe 0.2289 0.4923 0.6696 x8  4 O 2.08-2.23, 2 F 2.10-2.25
P 0.2041 0.1277 0.9162 x8  4 O 1.53-1.58
O 0.1046 0.1211 0.5946 x8  1 P 1.58
O 0.1789 0.4702 0.3572 x8  1 P 1.57
O 0.1881 0.2771 0.3565 x8  1 P 1.53
O 0.2181 0.3726 0.5462 x8  1 P 1.55
F 0.0000 0.1051 0.2500 x4  2 Fe 2.10, 4 Li 2.25-2.28
F 0.0000 0.3643 0.7500 x4  4 Li 2.08-2.15, 2 Fe 2.25

=====

No. 8
# Li2Fe2P2O9F

A relaxed Li2Fe2P2O9F crystal (PBE with a Hubbard U, the Materials Project database).

Values from the calculation:
Formation enthalpy at 0 K = -2.36 eV per atom
VASP energy = -104.66 eV for the cell shown
Theoretical density = 3.19 Mg/m³

a b c (Å): 5.2359 5.3711 7.3032
angles (deg): 106.05 107.69 98.22
Last column: nearest neighbours and their distance in Å.
Space group P1 (No. 1)
Symmetry-distinct sites (fractional):
Li 0.0000 0.0000 0.0000 x1  1 F 1.95, 3 O 2.07-2.17
Li 0.4778 0.7709 0.5953 x1  4 O 1.98-2.18
Fe 0.7282 0.3809 0.3021 x1  5 O 1.91-2.05, 1 F 2.02
Fe 0.7457 0.3914 0.7959 x1  5 O 1.92-2.08, 1 F 2.01
P 0.0564 0.0183 0.5528 x1  4 O 1.53-1.56
P 0.4172 0.7482 0.0393 x1  4 O 1.54-1.56
O 0.0465 0.7170 0.4604 x1  1 P 1.56
O 0.1119 0.6283 0.8896 x1  1 P 1.56
O 0.3688 0.1434 0.6886 x1  1 P 1.56
O 0.4208 0.0457 0.1367 x1  1 P 1.55
O 0.4873 0.6072 0.1979 x1  1 P 1.54
O 0.6148 0.7247 0.9157 x1  1 P 1.56
O 0.6254 0.4497 0.5379 x1  2 Fe 1.91-1.92, 1 Li 1.98
O 0.8776 0.0513 0.6902 x1  1 P 1.56
O 0.9725 0.1460 0.3873 x1  1 P 1.53
F 0.8509 0.3128 0.0590 x1  1 Li 1.95, 2 Fe 2.01-2.02